56
Lattice="-2.7826 6.0054 -4.5927 -6.6246 0.4215 4.5649 3.6431 5.3533 4.7927" Properties=species:S:1:pos:R:3 comment="LiCo2O4 GGA+U relaxed" delta_e_f_ev_per_fu=-10.47 dft_energy_ev_per_cell=-322.9 pbc="T T T"
O -0.2688 6.9097 4.1047
O -2.4962 1.4089 1.7860
O -4.9761 10.1698 4.1136
O -6.9385 7.8123 1.8568
O -7.1678 4.6634 1.7740
O -6.1275 6.2057 -0.7783
O 1.8071 5.5007 4.1339
O -3.6411 4.7354 -0.6316
O -0.9836 8.6559 -0.6157
O -1.1478 5.6857 6.5290
O -3.3172 3.0238 3.9916
O -1.3949 2.9793 -0.7642
O 0.3833 2.7807 1.8779
O -3.4600 7.2370 -0.5648
O 0.4073 5.6293 2.0555
O -4.7308 3.1819 1.8931
O -5.1445 7.6407 4.0702
O -3.9906 4.3101 6.4932
O -5.5889 1.9596 3.9416
O -4.3190 8.8651 2.0417
O -3.7392 7.4910 6.5211
O -1.8336 10.2664 1.9648
O -2.7976 5.9862 -2.6366
O -2.8866 8.7344 4.0975
O -4.3091 6.0045 1.8361
O -1.3537 5.8261 -0.5589
O 0.8179 8.4912 1.9732
O -5.3752 4.4592 3.9860
O -0.4675 4.3825 4.0821
O -2.0447 7.0830 1.9091
O -2.9114 5.8480 3.9140
O -2.2290 4.5554 1.8426
Co -4.7782 3.1269 5.2174
Co -2.8329 5.9023 0.6388
Co -3.6025 7.3626 2.9781
Co -3.4117 10.2189 3.0280
Co 1.0911 4.1348 3.0156
Co -6.3747 3.3044 2.8475
Co -5.9621 8.9842 2.9953
Co -3.8100 4.5080 2.9039
Co -2.0853 4.4880 -1.7001
Co -4.3457 8.8356 5.3180
Co -1.2530 5.7266 2.9845
Co 0.3292 5.5801 5.3308
Co -4.4636 6.0820 -1.7077
Co -4.0494 1.6849 2.8538
Co 1.3162 6.9889 3.0420
Co -1.8801 7.3132 -1.6265
Li -1.0599 8.5674 4.7417
Li -6.1596 6.0980 4.6777
Li -6.1247 6.1876 1.1657
Li -2.9665 5.8353 5.8572
Li -1.4257 2.9137 1.1785
Li -0.0154 0.0314 0.0127
Li -1.0113 8.6238 1.3285
Li -4.2933 8.8637 0.0978